! SrTaNO2 (PBE-GGA, relaxed); values from VASP
! crystal system	tetragonal
! mass density	7.857	g/cm³
! energy of formation from the pure elements	-13.16	eV per formula unit
! calculated volume	66.5	Å³/f.u.
! E	-43.56	eV per formula unit
&SYSTEM
  ibrav = 0, nat = 10, ntyp = 4
/
ATOMIC_SPECIES
Sr 87.62 Sr.upf
Ta 180.95 Ta.upf
N 14.01 N.upf
O 16.00 O.upf
CELL_PARAMETERS angstrom
-2.838 2.838 4.126
2.838 -2.838 4.126
2.838 2.838 -4.126
ATOMIC_POSITIONS angstrom
Sr 2.838 0.000 2.063
Sr 0.000 2.838 2.063
Ta 0.000 0.000 0.000
Ta 0.000 0.000 4.126
N 0.000 0.000 2.063
N 0.000 0.000 6.189
O 4.004 1.166 0.000
O 1.166 1.672 0.000
O 1.672 1.166 4.126
O -1.166 1.672 4.126